Material: Be2Tl2ZnO6F8
Method: DFT, PBE
State: relaxed

Cell and atoms, written as POSCAR:
```
Be2Tl2ZnO6F8
1.0
-3.0091 -4.3121 -12.7837
5.1150 0.4387 -1.3520
2.6213 -6.8251 1.6852
Be Tl Zn O F
4 4 2 12 16
Direct
0.1142 0.3000 0.4015
0.8858 0.7000 0.5985
0.6142 0.7000 0.0985
0.3858 0.3000 0.9015
0.8142 0.1937 0.3524
0.1858 0.8063 0.6476
0.3142 0.8063 0.1476
0.6858 0.1937 0.8524
0.0000 0.5000 0.0000
0.5000 0.5000 0.5000
0.1606 0.7646 0.0687
0.8394 0.2354 0.9313
0.6606 0.2354 0.4313
0.3394 0.7646 0.5687
0.3569 0.6135 0.4451
0.6431 0.3865 0.5549
0.8569 0.3865 0.0549
0.1431 0.6135 0.9451
0.0337 0.0808 0.9885
0.9663 0.9192 0.0115
0.5337 0.9192 0.5115
0.4663 0.0808 0.4885
0.1514 0.5623 0.4373
0.8486 0.4377 0.5627
0.6514 0.4377 0.0627
0.3486 0.5623 0.9373
0.4201 0.1341 0.0928
0.5799 0.8659 0.9072
0.9201 0.8659 0.4072
0.0799 0.1341 0.5928
0.0259 0.3584 0.2645
0.9741 0.6416 0.7355
0.5259 0.6416 0.2355
0.4741 0.3584 0.7645
0.1967 0.1336 0.3406
0.8033 0.8664 0.6594
0.6967 0.8664 0.1594
0.3033 0.1336 0.8406
```

Output
The density is 4561 kg/m³. Its formation enthalpy at 0 K is -1.822 eV per atom. Its energy is -88.4 eV per formula unit. The value obtained for the volume is 14.18 Å³ per atom. The value obtained for the energy above the lowest structure with this stoichiometry is 0.00 eV/f.u. As for the space group: P2_1/c.

***

Material: Zr6Al2FeH10
Method: DFT, PBE
State: relaxed

Cell and atoms, written as POSCAR:
```
Zr6Al2FeH10
1.0
-2.7094 5.8745 4.9204
-3.4530 -7.3559 0.1680
4.6581 -2.0715 5.0382
Zr Al Fe H
12 4 2 20
Direct
0.7409 0.0000 0.0000
0.0000 0.7409 0.0000
0.7409 0.0000 0.5000
0.2591 0.2591 0.0000
0.0000 0.7409 0.5000
0.2591 0.2591 0.5000
0.4263 0.0488 0.2500
0.9512 0.3775 0.2500
0.0488 0.4263 0.7500
0.6225 0.5737 0.2500
0.3775 0.9512 0.7500
0.5737 0.6225 0.7500
0.3333 0.6667 0.0527
0.3333 0.6667 0.4473
0.6667 0.3333 0.9473
0.6667 0.3333 0.5527
0.0000 0.0000 0.2500
0.0000 0.0000 0.7500
0.2827 0.0000 0.0000
0.0000 0.2827 0.0000
0.2827 0.0000 0.5000
0.7173 0.7173 0.0000
0.0000 0.2827 0.5000
0.7173 0.7173 0.5000
0.4087 0.2915 0.2500
0.7085 0.1172 0.2500
0.2915 0.4087 0.7500
0.8828 0.5913 0.2500
0.1172 0.7085 0.7500
0.5913 0.8828 0.7500
0.1163 0.2360 0.2500
0.7640 0.8803 0.2500
0.2360 0.1163 0.7500
0.1197 0.8837 0.2500
0.8803 0.7640 0.7500
0.8837 0.1197 0.7500
0.0000 0.0000 0.0000
0.0000 0.0000 0.5000
```

Output
The density is 5404 kg/m³. Its formation enthalpy at 0 K is -0.510 eV per atom. Its energy is -109.1 eV per formula unit. The value obtained for the volume is 10.79 Å³ per atom. As for the space group: P-62c.

***

Material: ZnCr2Se4
Method: DFT, PBE
State: relaxed

Cell and atoms, written as POSCAR:
```
ZnCr2Se4
1.0
3.9264 -4.6059 4.4268
4.6081 2.8215 5.1992
-1.7365 -0.5967 7.2702
Zn Cr Se
2 4 8
Direct
0.5000 0.5000 0.5000
0.7500 0.7500 0.7500
0.1250 0.1250 0.1250
0.6250 0.1250 0.1250
0.1250 0.6250 0.1250
0.1250 0.1250 0.6250
0.3645 0.9065 0.3645
0.8855 0.8855 0.3435
0.3435 0.8855 0.8855
0.8855 0.8855 0.8855
0.9065 0.3645 0.3645
0.3645 0.3645 0.3645
0.3645 0.3645 0.9065
0.8855 0.3435 0.8855
```

Output
The density is 5405 kg/m³. Its formation enthalpy at 0 K is -0.865 eV per atom. Its energy is -38.7 eV per formula unit. The value obtained for the volume is 21.30 Å³ per atom. As for the space group: Fd-3m.

***

Material: BaTi2O5
Method: DFT, PBE
State: relaxed

Cell and atoms, written as POSCAR:
```
BaTi2O5
1.0
6.7151 -4.7404 -3.0192
8.4719 -1.5499 -1.5827
2.7222 -5.0248 7.8314
Ba Ti O
3 6 15
Direct
0.5000 0.5000 0.5000
0.3687 0.3687 0.9868
0.6313 0.6313 0.0132
0.8327 0.8327 0.6986
0.1673 0.1673 0.3014
0.2050 0.2050 0.6265
0.7950 0.7950 0.3735
0.0379 0.0379 0.7912
0.9621 0.9621 0.2088
0.0000 0.0000 0.0000
0.9418 0.9418 0.7107
0.0582 0.0582 0.2893
0.7894 0.7894 0.8787
0.2106 0.2106 0.1213
0.7357 0.7357 0.6002
0.2643 0.2643 0.3998
0.6756 0.6756 0.3377
0.3244 0.3244 0.6623
0.4665 0.4665 0.2067
0.5335 0.5335 0.7933
0.8933 0.8933 0.4227
0.1067 0.1067 0.5773
0.8478 0.8478 0.1878
0.1522 0.1522 0.8122
```

Output
The density is 4938 kg/m³. Its formation enthalpy at 0 K is -3.509 eV per atom. Its energy is -67.1 eV per formula unit. The value obtained for the volume is 13.16 Å³ per atom. The value obtained for the energy above the lowest structure with this stoichiometry is 0.18 eV/f.u. As for the space group: C2/m.

***

Material: MgCuH4Pb2Cl2O4
Method: DFT, PBE
State: relaxed

Cell and atoms, written as POSCAR:
```
MgCuH4Pb2Cl2O4
1.0
-1.2900 -5.6028 0.9789
2.2961 0.4142 5.3880
-5.9411 1.7937 2.3938
Mg Cu H Pb Cl O
1 1 4 2 2 4
Direct
0.5001 0.0001 0.9770
0.0008 0.0001 0.1652
0.3040 0.6655 0.1299
0.6966 0.3342 0.1307
0.6963 0.6657 0.1301
0.3037 0.3343 0.1302
0.9996 0.5001 0.8335
0.4993 0.9999 0.4897
0.9995 0.0000 0.5097
0.4998 0.4998 0.4255
0.2465 0.7603 0.0198
0.7536 0.2399 0.0204
0.7536 0.7604 0.0201
0.2465 0.2398 0.0200
```

Output
The density is 4674 kg/m³. Its formation enthalpy at 0 K is -1.221 eV per atom. Its energy is -64.5 eV per formula unit. The value obtained for the volume is 16.27 Å³ per atom. As for the space group: Pm.

***

Material: NdO
Method: DFT, PBE
State: relaxed

Cell and atoms, written as POSCAR:
```
NdO
1.0
0.0000 2.5258 2.5258
2.5258 0.0000 2.5258
2.5258 2.5258 0.0000
Nd O
1 1
Direct
0.0000 0.0000 0.0000
0.5000 0.5000 0.5000
```

Output
The density is 8256 kg/m³. Its formation enthalpy at 0 K is -3.073 eV per atom. Its energy is -15.2 eV per formula unit. The value obtained for the volume is 16.11 Å³ per atom. The value obtained for the energy above the lowest structure with this stoichiometry is 0.00 eV/f.u. As for the space group: Fm-3m.

***

Material: ErMnSi
Method: DFT, PBE
State: relaxed

Cell and atoms, written as POSCAR:
```
ErMnSi
1.0
-4.0292 -0.4676 0.1699
-0.1788 -0.9422 -6.8330
0.9073 -7.4530 1.0039
Er Mn Si
4 4 4
Direct
0.2500 0.0121 0.8140
0.7500 0.9879 0.1860
0.2500 0.5121 0.6860
0.7500 0.4879 0.3140
0.7500 0.8606 0.5590
0.2500 0.1394 0.4410
0.7500 0.3606 0.9410
0.2500 0.6394 0.0590
0.2500 0.2864 0.1114
0.7500 0.7136 0.8886
0.2500 0.7864 0.3886
0.7500 0.2136 0.6114
```

Output
The density is 7834 kg/m³. Its formation enthalpy at 0 K is -0.508 eV per atom. Its energy is -20.7 eV per formula unit. The value obtained for the volume is 17.68 Å³ per atom. As for the space group: Pnma.

***

Material: Cu2S
Method: DFT, PBE
State: relaxed

Cell and atoms, written as POSCAR:
```
Cu2S
1.0
3.9936 0.0000 0.0000
0.0000 3.9936 0.0000
0.0000 0.0000 11.2372
Cu S
8 4
Direct
0.4997 0.1602 0.3345
0.0003 0.6602 0.4155
0.3398 0.9997 0.0845
0.5003 0.8398 0.8345
0.8398 0.5003 0.1655
0.9997 0.3398 0.9155
0.6602 0.0003 0.5845
0.1602 0.4997 0.6655
0.9971 0.0029 0.7500
0.5029 0.5029 0.0000
0.4971 0.4971 0.5000
0.0029 0.9971 0.2500
```

Output
The piezoelectric modulus e_max comes out at 7.69 C/m². The density is 5899 kg/m³. Its formation enthalpy at 0 K is -0.257 eV per atom. Its energy is -12.6 eV per formula unit. The value obtained for the volume is 14.93 Å³ per atom. As for the space group: P4_32_12.

***

Material: Ce3Al12Ru4
Method: DFT, PBE
State: relaxed

Cell and atoms, written as POSCAR:
```
Ce3Al12Ru4
1.0
4.4472 -7.7028 0.0000
4.4472 7.7028 0.0000
0.0000 0.0000 9.5505
Ce Al Ru
6 24 8
Direct
0.8062 0.6124 0.7500
0.1938 0.8062 0.2500
0.6124 0.8062 0.2500
0.3876 0.1938 0.7500
0.8062 0.1938 0.7500
0.1938 0.3876 0.2500
0.3333 0.6667 0.4845
0.6667 0.3333 0.9845
0.6667 0.3333 0.5155
0.3333 0.6667 0.0155
0.1623 0.3246 0.5775
0.6754 0.8377 0.5775
0.1623 0.8377 0.5775
0.8377 0.1623 0.0775
0.8377 0.1623 0.4225
0.8377 0.6754 0.0775
0.3246 0.1623 0.0775
0.6754 0.8377 0.9225
0.1623 0.3246 0.9225
0.8377 0.6754 0.4225
0.0000 0.0000 0.2500
0.0000 0.0000 0.7500
0.5621 0.1242 0.2500
0.4379 0.5621 0.7500
0.1242 0.5621 0.7500
0.8758 0.4379 0.2500
0.5621 0.4379 0.2500
0.4379 0.8758 0.7500
0.1623 0.8377 0.9225
0.3246 0.1623 0.4225
0.0000 0.0000 0.5000
0.0000 0.0000 0.0000
0.5000 0.0000 0.5000
0.5000 0.5000 0.0000
0.0000 0.5000 0.0000
0.0000 0.5000 0.5000
0.5000 0.5000 0.5000
0.5000 0.0000 0.0000
```

Output
The density is 5829 kg/m³. Its formation enthalpy at 0 K is -0.647 eV per atom. Its energy is -112.1 eV per formula unit. The value obtained for the volume is 17.22 Å³ per atom. As for the space group: P6_3/mmc.

***

Material: EuDyCuS3
Method: DFT, PBE
State: relaxed

Cell and atoms, written as POSCAR:
```
EuDyCuS3
1.0
3.9039 0.0000 0.0000
0.0000 10.2281 0.0000
0.0000 0.0000 12.8025
Eu Dy Cu S
4 4 4 12
Direct
0.7500 0.7272 0.4996
0.2500 0.2728 0.5004
0.7500 0.2272 0.0004
0.2500 0.7728 0.9996
0.7500 0.4857 0.7571
0.2500 0.5143 0.2429
0.7500 0.9857 0.7429
0.2500 0.0143 0.2571
0.7500 0.2629 0.2765
0.2500 0.7371 0.7235
0.7500 0.7629 0.2235
0.2500 0.2371 0.7765
0.7500 0.4459 0.3855
0.2500 0.5541 0.6145
0.7500 0.9459 0.1145
0.2500 0.0541 0.8855
0.7500 0.0894 0.3934
0.2500 0.9106 0.6066
0.7500 0.5894 0.1066
0.2500 0.4106 0.8934
0.7500 0.2394 0.6707
0.2500 0.7606 0.3293
0.7500 0.7394 0.8293
0.2500 0.2606 0.1707
```

Output
The density is 6162 kg/m³. Its formation enthalpy at 0 K is -1.932 eV per atom. Its energy is -41.5 eV per formula unit. The value obtained for the volume is 21.30 Å³ per atom. As for the space group: Pnma.

***

Material: Hg2SbF6
Method: DFT, PBE
State: relaxed

Cell and atoms, written as POSCAR:
```
Hg2SbF6
1.0
-2.3314 -7.1634 -0.6098
-0.6559 0.8635 -7.4796
4.3661 -4.8632 -4.6174
Hg Sb F
4 2 12
Direct
0.0000 0.0000 0.5000
0.0000 0.0000 0.0000
0.5000 0.0000 0.0000
0.0000 0.5000 0.5000
0.3747 0.6253 0.7500
0.6253 0.3747 0.2500
0.1949 0.8051 0.7500
0.5536 0.8043 0.7526
0.5294 0.7812 0.4370
0.7812 0.5294 0.9370
0.5546 0.4454 0.7500
0.1957 0.4464 0.7474
0.8043 0.5536 0.2526
0.4454 0.5546 0.2500
0.2188 0.4706 0.0630
0.4706 0.2188 0.5630
0.4464 0.1957 0.2474
0.8051 0.1949 0.2500
```

Output
The density is 6042 kg/m³. Its formation enthalpy at 0 K is -2.021 eV per atom. Its energy is -31.6 eV per formula unit. The value obtained for the volume is 19.45 Å³ per atom. As for the space group: C2/c.

***

Material: CsSmO3
Method: DFT, PBE
State: relaxed

Cell and atoms, written as POSCAR:
```
CsSmO3
1.0
4.6548 0.0000 0.0000
0.0000 4.6548 0.0000
0.0000 0.0000 4.6548
Cs Sm O
1 1 3
Direct
0.0000 0.0000 0.0000
0.5000 0.5000 0.5000
0.5000 0.5000 0.0000
0.5000 0.0000 0.5000
0.0000 0.5000 0.5000
```

Output
The density is 5454 kg/m³. Its formation enthalpy at 0 K is -2.189 eV per atom. Its energy is -29.3 eV per formula unit. The value obtained for the volume is 20.17 Å³ per atom. As for the space group: Pm-3m.

***

Material: K3UC5O17
Method: DFT, PBE
State: relaxed

Cell and atoms, written as POSCAR:
```
K3UC5O17
1.0
10.1844 0.0000 0.0000
-4.5926 9.2564 0.0000
-2.9412 -2.7746 9.9306
K U C O
6 2 10 34
Direct
0.6622 0.2768 0.4502
0.3378 0.7232 0.5498
0.0682 0.0435 0.8483
0.9318 0.9565 0.1517
0.1872 0.4549 0.0965
0.8128 0.5451 0.9035
0.4694 0.1440 0.7577
0.5306 0.8560 0.2423
0.1804 0.1066 0.5012
0.8196 0.8934 0.4988
0.1924 0.9635 0.4564
0.8076 0.0365 0.5436
0.6908 0.9860 0.8386
0.3092 0.0140 0.1614
0.7911 0.1458 0.9386
0.2089 0.8542 0.0614
0.4480 0.4155 0.9576
0.5520 0.5845 0.0424
0.3455 0.0361 0.8443
0.6545 0.9639 0.1557
0.5972 0.2616 0.6748
0.4028 0.7384 0.3252
0.2710 0.1809 0.6254
0.7290 0.8191 0.3746
0.3012 0.9569 0.5489
0.6988 0.0431 0.4511
0.0936 0.1384 0.4213
0.9064 0.8616 0.5787
0.1072 0.8726 0.3448
0.8928 0.1274 0.6552
0.5595 0.9643 0.7534
0.4405 0.0357 0.2466
0.7218 0.2247 0.9308
0.2782 0.7753 0.0692
0.7397 0.8956 0.8440
0.2603 0.1044 0.1560
0.9281 0.1878 0.0149
0.0719 0.8122 0.9851
0.5193 0.3669 0.8995
0.4807 0.6331 0.1005
0.3098 0.3429 0.9513
0.6902 0.6571 0.0487
0.8272 0.4510 0.2238
0.1728 0.5490 0.7762
0.0486 0.4758 0.7939
0.9514 0.5242 0.2061
0.4174 0.4309 0.3378
0.5826 0.5691 0.6622
0.4454 0.5231 0.6546
0.5546 0.4769 0.3454
0.0157 0.4506 0.4824
0.9843 0.5494 0.5176
```

Output
The density is 2438 kg/m³. Its formation enthalpy at 0 K is -1.509 eV per atom. Its energy is -181.4 eV per formula unit. The value obtained for the volume is 18.00 Å³ per atom. The value obtained for the energy above the lowest structure with this stoichiometry is 0.00 eV/f.u. As for the space group: P-1.

***

Material: KRb3CdCl6
Method: DFT, PBE
State: relaxed

Cell and atoms, written as POSCAR:
```
KRb3CdCl6
1.0
6.2985 -6.3688 0.0000
6.2985 6.3688 0.0000
-0.1413 0.0000 8.9561
K Rb Cd Cl
2 6 2 12
Direct
0.2500 0.2500 0.2500
0.7500 0.7500 0.7500
0.3723 0.1277 0.7500
0.1277 0.7500 0.3723
0.7500 0.3723 0.1277
0.6277 0.8723 0.2500
0.2500 0.6277 0.8723
0.8723 0.2500 0.6277
0.0000 0.0000 0.0000
0.5000 0.5000 0.5000
0.9500 0.0760 0.2889
0.0760 0.2889 0.9500
0.2889 0.9500 0.0760
0.5760 0.4500 0.7889
0.7889 0.5760 0.4500
0.4500 0.7889 0.5760
0.2111 0.4240 0.5500
0.4240 0.5500 0.2111
0.5500 0.2111 0.4240
0.9240 0.7111 0.0500
0.0500 0.9240 0.7111
0.7111 0.0500 0.9240
```

Output
The density is 2869 kg/m³. Its formation enthalpy at 0 K is -2.073 eV per atom. Its energy is -35.2 eV per formula unit. The value obtained for the volume is 32.66 Å³ per atom. As for the space group: R-3c.